## Mn2CuO4 (PBE+U)

Data for a relaxed structure of Mn2CuO4.

## Properties
Formation energy from the elements, eV/atom: -1.6072
Total energy after the MP2020 corrections, eV per atom: -7.638
Electronic total energy, eV/atom: -6.77

```
data_Mn2CuO4
_cell_length_a 5.8410
_cell_length_b 5.8410
_cell_length_c 58.4942
_cell_angle_alpha 90.00
_cell_angle_beta 90.00
_cell_angle_gamma 120.00
_symmetry_space_group_name_H-M 'R 3 m'
_symmetry_Int_Tables_number 160
_symmetry_space_group_name_Hall 'R 3 -2"'
loop_
_atom_site_label
_atom_site_fract_x
_atom_site_fract_y
_atom_site_fract_z
Mn1 0.0000 0.0000 0.0000
Mn2 0.0000 0.0000 0.1554
Mn3 0.0000 0.0000 0.2494
Mn4 0.0000 0.0000 0.4069
Mn5 0.9999 0.5000 0.7810
Mn6 0.0015 0.5008 0.0323
Mn7 0.0035 0.5017 0.5297
Mn8 0.0046 0.5023 0.2809
Cu1 0.0000 0.0000 0.0632
Cu2 0.0000 0.0000 0.3126
Cu3 0.0000 0.0000 0.4990
Cu4 0.0000 0.0000 0.5614
Cu5 0.0000 0.0000 0.6568
Cu6 0.0000 0.0000 0.7499
Cu7 0.0000 0.0000 0.8118
Cu8 0.0000 0.0000 0.9052
O1 0.0000 0.0000 0.0972
O2 0.0000 0.0000 0.2143
O3 0.0000 0.0000 0.3477
O4 0.0000 0.0000 0.4649
O5 0.0000 0.0000 0.5960
O6 0.0000 0.0000 0.7161
O7 0.0000 0.0000 0.8455
O8 0.0000 0.0000 0.9655
O9 0.0215 0.5107 0.3476
O10 0.0256 0.5128 0.5958
O11 0.0355 0.5178 0.0950
O12 0.0379 0.5189 0.8435
O13 0.1798 0.3597 0.5475
O14 0.1806 0.3612 0.2989
O15 0.1847 0.3694 0.8003
O16 0.1854 0.3708 0.0519
```

## ZnFe4CoO8 (PBE+U)

Data for a relaxed structure of ZnFe4CoO8.

## Properties
Formation energy from the elements, eV/atom: -1.6587
Total energy after the MP2020 corrections, eV per atom: -7.504
Electronic total energy, eV/atom: -6.35

```
data_ZnFe4CoO8
_cell_length_a 8.5436
_cell_length_b 8.5436
_cell_length_c 8.5436
_cell_angle_alpha 90.00
_cell_angle_beta 90.00
_cell_angle_gamma 90.00
_symmetry_space_group_name_H-M 'F -4 3 m'
_symmetry_Int_Tables_number 216
_symmetry_space_group_name_Hall 'F -4 2 3'
loop_
_atom_site_label
_atom_site_fract_x
_atom_site_fract_y
_atom_site_fract_z
Zn1 0.0000 0.0000 0.0000
Fe1 0.1250 0.1250 0.3750
Co1 0.2500 0.2500 0.7500
O1 0.1148 0.1148 0.6148
O2 0.1352 0.1352 0.1352
```

## BaCuWO5 (PBE+U)

Data for a relaxed structure of BaCuWO5.

## Properties
Formation energy from the elements, eV/atom: -1.8635
Total energy after the MP2020 corrections, eV per atom: -7.328
Electronic total energy, eV/atom: -6.34

```
data_BaCuWO5
_cell_length_a 3.8384
_cell_length_b 3.8384
_cell_length_c 8.9920
_cell_angle_alpha 90.00
_cell_angle_beta 90.00
_cell_angle_gamma 90.00
_symmetry_space_group_name_H-M 'P 4 m m'
_symmetry_Int_Tables_number 99
loop_
_symmetry_equiv_pos_as_xyz
'x,y,z'
'-y,x,z'
'-x,-y,z'
'y,-x,z'
'-x,y,z'
'y,x,z'
'x,-y,z'
'-y,-x,z'
loop_
_atom_site_label
_atom_site_fract_x
_atom_site_fract_y
_atom_site_fract_z
Ba1 0.0000 0.0000 0.0000
Cu1 0.5000 0.5000 0.2188
W1 0.5000 0.5000 0.6221
O1 0.0000 0.5000 0.1820
O2 0.0000 0.5000 0.5871
O3 0.5000 0.5000 0.8205
```

## Li5Fe8B8O24 (PBE+U)

Data for a relaxed structure of Li5Fe8B8O24.

## Properties
Formation energy from the elements, eV/atom: -2.2879
Total energy after the MP2020 corrections, eV per atom: -7.832
Electronic total energy, eV/atom: -7.06

```
data_Li5Fe8B8O24
_cell_length_a 5.2562
_cell_length_b 9.0857
_cell_length_c 11.3692
_cell_angle_alpha 66.71
_cell_angle_beta 77.14
_cell_angle_gamma 89.91
_symmetry_space_group_name_H-M 'P 1'
_symmetry_Int_Tables_number 1
loop_
_symmetry_equiv_pos_as_xyz
'x,y,z'
loop_
_atom_site_label
_atom_site_fract_x
_atom_site_fract_y
_atom_site_fract_z
Li1 0.0000 0.0000 0.0000
Li2 0.0688 0.4023 0.2408
Li3 0.2517 0.2786 0.5028
Li4 0.5089 0.5046 0.9986
Li5 0.7481 0.7721 0.5031
Fe1 0.0270 0.6886 0.9619
Fe2 0.0787 0.0691 0.2171
Fe3 0.2768 0.6273 0.4665
Fe4 0.3274 0.9861 0.7200
Fe5 0.5265 0.1843 0.9663
Fe6 0.5853 0.5844 0.2160
Fe7 0.7673 0.1251 0.4671
Fe8 0.8305 0.4846 0.7184
B1 0.0276 0.3587 0.9690
B2 0.0842 0.7384 0.2129
B3 0.2769 0.9537 0.4646
B4 0.3295 0.3263 0.7130
B5 0.5329 0.8622 0.9610
B6 0.5691 0.2427 0.2123
B7 0.7768 0.4502 0.4661
B8 0.8289 0.8262 0.7111
O1 0.0423 0.9726 0.4190
O2 0.0511 0.8248 0.7565
O3 0.1118 0.2027 0.0101
O4 0.1627 0.4798 0.9774
O5 0.1993 0.4644 0.6795
O6 0.2378 0.1963 0.6968
O7 0.2934 0.6994 0.2678
O8 0.2943 0.8883 0.9194
O9 0.3579 0.0681 0.5067
O10 0.4173 0.8276 0.4686
O11 0.4521 0.1305 0.1797
O12 0.4535 0.3788 0.2035
O13 0.5358 0.4616 0.4357
O14 0.5501 0.3222 0.7611
O15 0.6183 0.7090 0.9978
O16 0.6697 0.9860 0.9652
O17 0.6980 0.9649 0.6740
O18 0.7389 0.6947 0.6963
O19 0.7958 0.3849 0.9233
O20 0.8100 0.2136 0.2500
O21 0.8650 0.5574 0.5132
O22 0.9343 0.3351 0.4459
O23 0.9751 0.6286 0.1746
O24 0.9816 0.8841 0.1920
```

## MnRePb2O6 (PBE+U)

Data for a relaxed structure of MnRePb2O6.

## Properties
Formation energy from the elements, eV/atom: -1.8229
Total energy after the MP2020 corrections, eV per atom: -7.695
Electronic total energy, eV/atom: -7.12

```
data_MnRePb2O6
_cell_length_a 18.0936
_cell_length_b 8.2787
_cell_length_c 5.7235
_cell_angle_alpha 90.00
_cell_angle_beta 108.31
_cell_angle_gamma 90.00
_symmetry_space_group_name_H-M 'C 1 2/m 1'
_symmetry_Int_Tables_number 12
loop_
_symmetry_equiv_pos_as_xyz
'x,y,z'
'-x,-y,-z'
'-x,y,-z'
'x,-y,z'
'x+1/2,y+1/2,z'
'-x+1/2,-y+1/2,-z'
'-x+1/2,y+1/2,-z'
'x+1/2,-y+1/2,z'
loop_
_atom_site_label
_atom_site_fract_x
_atom_site_fract_y
_atom_site_fract_z
Mn1 0.0000 0.0000 0.0000
Mn2 0.1672 0.5000 0.6792
Re1 0.0000 0.5000 0.0000
Re2 0.1666 0.0000 0.6642
Pb1 0.0000 0.2551 0.5000
Pb2 0.1670 0.2495 0.1937
O1 0.0000 0.2663 0.0000
O2 0.0597 0.5000 0.7676
O3 0.0780 0.0000 0.3670
O4 0.0957 0.5000 0.2785
O5 0.1008 0.0000 0.8621
O6 0.1672 0.2363 0.6459
O7 0.2325 0.0000 0.4480
O8 0.2407 0.5000 0.0579
```

## Li2CrFe3O8 (PBE+U)

Data for a relaxed structure of Li2CrFe3O8.

## Properties
Formation energy from the elements, eV/atom: -1.7385
Total energy after the MP2020 corrections, eV per atom: -7.343
Electronic total energy, eV/atom: -6.32

```
data_Li2CrFe3O8
_cell_length_a 5.9504
_cell_length_b 5.9504
_cell_length_c 14.6312
_cell_angle_alpha 90.00
_cell_angle_beta 90.00
_cell_angle_gamma 120.00
_symmetry_space_group_name_H-M 'R -3 m'
_symmetry_Int_Tables_number 166
_symmetry_space_group_name_Hall '-R 3 2"'
loop_
_atom_site_label
_atom_site_fract_x
_atom_site_fract_y
_atom_site_fract_z
Li1 0.0000 0.0000 0.1242
Cr1 0.0000 0.0000 0.5000
Fe1 0.0000 0.5000 0.0000
O1 0.0000 0.0000 0.2605
O2 0.0318 0.5159 0.2553
```